# AcF3 | Materials Project | PBE | relaxed
# ΔE_f (meV/atom): -4408
# Electronic total energy (eV for the cell shown): -104.45
data_AcF3
_symmetry_space_group_name_H-M 'F m -3 m'
_symmetry_Int_Tables_number 225
_symmetry_space_group_name_Hall '-F 4 2 3'
_cell_length_a 6.043
_cell_length_b 6.043
_cell_length_c 6.043
_cell_angle_alpha 90.00
_cell_angle_beta 90.00
_cell_angle_gamma 90.00
loop_
_atom_site_label
_atom_site_type_symbol
_atom_site_fract_x
_atom_site_fract_y
_atom_site_fract_z
_atom_site_occupancy
Ac1 Ac 0.000 0.000 0.000 1
F1 F 0.000 0.000 0.500 1
F2 F 0.250 0.250 0.250 1

=====

# AcF3 | Materials Project | PBE | relaxed
# ΔE_f (meV/atom): -4413
# Electronic total energy (eV for the cell shown): -52.26
data_AcF3
_symmetry_space_group_name_H-M 'I 4/m m m'
_symmetry_Int_Tables_number 139
_symmetry_space_group_name_Hall '-I 4 2'
_cell_length_a 4.007
_cell_length_b 4.007
_cell_length_c 6.893
_cell_angle_alpha 90.00
_cell_angle_beta 90.00
_cell_angle_gamma 90.00
loop_
_atom_site_label
_atom_site_type_symbol
_atom_site_fract_x
_atom_site_fract_y
_atom_site_fract_z
_atom_site_occupancy
Ac1 Ac 0.000 0.000 0.000 1
F1 F 0.000 0.000 0.500 1
F2 F 0.000 0.500 0.250 1

=====

# AcOF | Materials Project | PBE | relaxed
# Largest piezoelectric modulus (C/m2): 0.85
# ΔE_f (meV/atom): -4159
# Electronic total energy (eV for the cell shown): -89.25
data_AcOF
_symmetry_space_group_name_H-M 'F -4 3 m'
_symmetry_Int_Tables_number 216
_symmetry_space_group_name_Hall 'F -4 2 3'
_cell_length_a 5.976
_cell_length_b 5.976
_cell_length_c 5.976
_cell_angle_alpha 90.00
_cell_angle_beta 90.00
_cell_angle_gamma 90.00
loop_
_atom_site_label
_atom_site_type_symbol
_atom_site_fract_x
_atom_site_fract_y
_atom_site_fract_z
_atom_site_occupancy
Ac1 Ac 0.000 0.000 0.000 1
O1 O 0.250 0.250 0.750 1
F1 F 0.250 0.250 0.250 1

=====

# AcGa3 | Materials Project | PBE | relaxed
# ΔE_f (meV/atom): -532
# Electronic total energy (eV for the cell shown): -30.67
data_AcGa3
_symmetry_space_group_name_H-M 'P 63/m m c'
_symmetry_Int_Tables_number 194
_symmetry_space_group_name_Hall '-P 6c 2c'
_cell_length_a 6.8411
_cell_length_b 6.8411
_cell_length_c 4.7050
_cell_angle_alpha 90.00
_cell_angle_beta 90.00
_cell_angle_gamma 120.00
loop_
_atom_site_label
_atom_site_type_symbol
_atom_site_fract_x
_atom_site_fract_y
_atom_site_fract_z
_atom_site_occupancy
Ac1 Ac 0.3333 0.6667 0.2500 1
Ga1 Ga 0.1356 0.2712 0.7500 1

=====

# Ac2InGa | Materials Project | PBE | relaxed
# ΔE_f (meV/atom): -396
# Electronic total energy (eV for the cell shown): -62.43
data_Ac2InGa
_symmetry_space_group_name_H-M 'F m -3 m'
_symmetry_Int_Tables_number 225
_symmetry_space_group_name_Hall '-F 4 2 3'
_cell_length_a 8.078
_cell_length_b 8.078
_cell_length_c 8.078
_cell_angle_alpha 90.00
_cell_angle_beta 90.00
_cell_angle_gamma 90.00
loop_
_atom_site_label
_atom_site_type_symbol
_atom_site_fract_x
_atom_site_fract_y
_atom_site_fract_z
_atom_site_occupancy
Ac1 Ac 0.250 0.250 0.250 1
In1 In 0.000 0.000 0.000 1
Ga1 Ga 0.000 0.000 0.500 1

=====

# Ac2MgGa | Materials Project | PBE | relaxed
# ΔE_f (meV/atom): -236
# Electronic total energy (eV for the cell shown): -55.27
data_Ac2MgGa
_symmetry_space_group_name_H-M 'F m -3 m'
_symmetry_Int_Tables_number 225
_symmetry_space_group_name_Hall '-F 4 2 3'
_cell_length_a 8.020
_cell_length_b 8.020
_cell_length_c 8.020
_cell_angle_alpha 90.00
_cell_angle_beta 90.00
_cell_angle_gamma 90.00
loop_
_atom_site_label
_atom_site_type_symbol
_atom_site_fract_x
_atom_site_fract_y
_atom_site_fract_z
_atom_site_occupancy
Ac1 Ac 0.250 0.250 0.250 1
Mg1 Mg 0.000 0.000 0.000 1
Ga1 Ga 0.000 0.000 0.500 1